Record 1
# Na4CoO4

A relaxed structure of Na4CoO4 (PBE+U, the Materials Project database).

Results
* space-group type: P-1

Cell lengths 5.804, 5.816, 8.102 Å; angles 88.91, 106.94, 109.91 degrees
Fractional positions:
Na  0.543  0.771  0.571
Na  0.266  0.741  0.162
Na  0.920  0.717  0.377
Na  0.712  0.757  0.985
Na  0.288  0.243  0.015
Na  0.457  0.229  0.429
Na  0.080  0.283  0.623
Na  0.734  0.259  0.838
O  0.192  0.473  0.371
O  0.734  0.396  0.118
O  0.929  0.975  0.795
O  0.672  0.998  0.327
O  0.071  0.025  0.205
O  0.266  0.604  0.882
O  0.328  0.002  0.673
O  0.808  0.527  0.629
Co  0.910  0.221  0.250
Co  0.090  0.779  0.750

=====

Record 2
# Na2CoO3

A relaxed structure of Na2CoO3 (PBE+U, the Materials Project database).

Results
* energy above the lowest structure with this stoichiometry: 4.0 kJ per mole of atoms
* space-group type: P1

Cell lengths 5.269, 5.688, 9.050 Å; angles 89.87, 90.17, 70.73 degrees
Fractional positions:
O  0.251  0.807  0.806
O  0.739  0.797  0.697
O  0.253  0.804  0.191
O  0.819  0.194  0.499
O  0.684  0.804  0.002
O  0.255  0.205  0.695
O  0.189  0.799  0.495
O  0.740  0.197  0.811
O  0.311  0.200  0.003
O  0.248  0.195  0.308
O  0.748  0.196  0.193
O  0.754  0.802  0.307
Na  0.998  0.500  0.845
Na  0.500  0.499  0.342
Na  0.501  0.498  0.999
Na  0.999  0.501  0.501
Na  0.999  0.001  0.999
Na  0.000  0.500  0.157
Na  0.503  0.000  0.501
Na  0.500  0.501  0.659
Co  0.007  0.001  0.666
Co  0.002  0.997  0.327
Co  0.503  0.002  0.831
Co  0.499  0.001  0.170

=====

Record 3
# Na2Co2O3

A relaxed structure of Na2Co2O3 (PBE+U, the Materials Project database).

Results
* energy above the lowest structure with this stoichiometry: 0.5 kJ per mole of atoms
* space-group type: C2/c

Cell lengths 8.396, 8.396, 5.648 Å; angles 71.71, 71.71, 83.27 degrees
Fractional positions:
O  0.431  0.281  0.565
O  0.003  0.235  0.944
O  0.719  0.569  0.935
O  0.566  0.144  0.060
O  0.281  0.431  0.065
O  0.235  0.003  0.444
O  0.856  0.434  0.440
O  0.997  0.765  0.056
O  0.765  0.997  0.556
O  0.569  0.719  0.435
O  0.434  0.856  0.940
O  0.144  0.566  0.560
Co  0.218  0.355  0.803
Co  0.087  0.551  0.250
Co  0.645  0.782  0.697
Co  0.913  0.449  0.750
Co  0.355  0.218  0.303
Co  0.551  0.087  0.750
Co  0.449  0.913  0.250
Co  0.782  0.645  0.197
Na  0.711  0.289  0.250
Na  0.425  0.575  0.250
Na  0.820  0.007  0.085
Na  0.993  0.180  0.415
Na  0.180  0.993  0.915
Na  0.575  0.425  0.750
Na  0.289  0.711  0.750
Na  0.007  0.820  0.585

=====

Record 4
# Na14Co2O9

A relaxed structure of Na14Co2O9 (PBE+U, the Materials Project database).

Cell lengths 6.660, 11.506, 11.505 Å; angles 70.74, 73.18, 106.82 degrees
Fractional positions:
Na  0.065  0.985  0.608
Na  0.688  0.736  0.671
Na  0.688  0.236  0.171
Na  0.000  0.125  0.125
Na  0.935  0.515  0.892
Na  0.312  0.264  0.329
Na  0.377  0.860  0.547
Na  0.000  0.875  0.875
Na  0.623  0.640  0.953
Na  0.639  0.936  0.972
Na  0.312  0.764  0.829
Na  0.324  0.634  0.273
Na  0.000  0.625  0.625
Na  0.361  0.564  0.528
Na  0.377  0.360  0.047
Na  0.361  0.064  0.028
Na  0.964  0.208  0.884
Na  0.964  0.708  0.384
Na  0.623  0.140  0.453
Na  0.000  0.375  0.375
Na  0.036  0.792  0.116
Na  0.935  0.015  0.392
Na  0.065  0.485  0.108
Na  0.036  0.292  0.616
Na  0.324  0.134  0.773
Na  0.676  0.866  0.227
Na  0.639  0.436  0.472
Na  0.676  0.366  0.727
O  0.637  0.516  0.820
O  0.000  0.000  0.000
O  0.059  0.850  0.487
O  0.667  0.644  0.311
O  0.363  0.984  0.680
O  0.941  0.650  0.013
O  0.333  0.856  0.189
O  0.637  0.016  0.320
O  0.304  0.139  0.197
O  0.696  0.361  0.303
O  0.363  0.484  0.180
O  0.000  0.500  0.500
O  0.333  0.356  0.689
O  0.696  0.861  0.803
O  0.059  0.350  0.987
O  0.941  0.150  0.513
O  0.667  0.144  0.811
O  0.304  0.639  0.697
Co  0.333  0.464  0.798
Co  0.667  0.036  0.702
Co  0.667  0.536  0.202
Co  0.333  0.964  0.298

=====

Record 5
# Na4CoO4

A relaxed structure of Na4CoO4 (PBE+U, the Materials Project database).

Results
* space-group type: P1

Cell lengths 10.069, 6.067, 17.850 Å; angles 90.17, 92.44, 90.02 degrees
Fractional positions:
O  0.471  0.128  0.615
O  0.536  0.637  0.881
O  0.150  0.257  0.722
O  0.855  0.712  0.952
O  0.154  0.266  0.223
O  0.388  0.736  0.702
O  0.631  0.232  0.954
O  0.360  0.234  0.380
O  0.125  0.773  0.867
O  0.397  0.771  0.041
O  0.883  0.207  0.638
O  0.645  0.735  0.630
O  0.402  0.708  0.537
O  0.648  0.773  0.131
O  0.846  0.724  0.792
O  0.136  0.737  0.374
O  0.391  0.732  0.210
O  0.608  0.244  0.292
O  0.354  0.245  0.881
O  0.483  0.374  0.115
O  0.044  0.896  0.117
O  0.893  0.289  0.135
O  0.925  0.107  0.875
O  0.932  0.397  0.374
O  0.641  0.266  0.453
O  0.869  0.793  0.454
O  0.136  0.332  0.058
O  0.129  0.214  0.553
O  0.600  0.245  0.792
O  0.549  0.856  0.383
O  0.857  0.781  0.293
O  0.040  0.605  0.621
Na  0.271  0.508  0.610
Na  0.915  0.408  0.504
Na  0.138  0.183  0.861
Na  0.652  0.592  0.004
Na  0.905  0.087  0.006
Na  0.329  0.402  0.004
Na  0.314  0.062  0.503
Na  0.368  0.115  0.737
Na  0.683  0.098  0.685
Na  0.975  0.588  0.048
Na  0.975  0.008  0.740
Na  0.699  0.556  0.374
Na  0.353  0.861  0.918
Na  0.806  0.089  0.367
Na  0.204  0.641  0.140
Na  0.688  0.391  0.179
Na  0.391  0.343  0.235
Na  0.595  0.869  0.256
Na  0.563  0.423  0.557
Na  0.590  0.619  0.755
Na  0.841  0.590  0.674
Na  0.240  0.574  0.782
Na  0.148  0.333  0.361
Na  0.013  0.898  0.547
Na  0.252  0.938  0.287
Na  0.548  0.068  0.056
Na  0.955  0.454  0.246
Na  0.372  0.622  0.414
Na  0.848  0.918  0.175
Na  0.798  0.410  0.865
Na  0.689  0.941  0.874
Na  0.669  0.910  0.507
Co  0.476  0.669  0.125
Co  0.959  0.696  0.375
Co  0.070  0.185  0.135
Co  0.472  0.832  0.621
Co  0.949  0.810  0.874
Co  0.533  0.152  0.379
Co  0.052  0.312  0.637
Co  0.523  0.339  0.878

=====

Record 6
# NaCo2O3

A relaxed structure of NaCo2O3 (PBE+U, the Materials Project database).

Results
* energy above the lowest structure with this stoichiometry: 0.0 kJ per mole of atoms
* space-group type: P1

Cell lengths 5.188, 5.901, 5.899 Å; angles 119.68, 90.41, 89.62 degrees
Fractional positions:
O  0.378  0.673  0.067
O  0.466  0.277  0.286
O  0.966  0.714  0.723
O  0.896  0.346  0.952
O  0.878  0.934  0.327
O  0.397  0.047  0.654
Co  0.019  0.011  0.671
Co  0.008  0.674  0.005
Co  0.519  0.330  0.989
Co  0.508  0.995  0.326
Na  0.495  0.673  0.673
Na  0.995  0.327  0.327

=====

Record 7
# Na8CoO6

A relaxed structure of Na8CoO6 (PBE+U, the Materials Project database).

Results
* space-group type: P6_3cm

Cell lengths 6.362, 6.362, 12.710 Å; angles 90.00, 90.00, 120.00 degrees
Fractional positions:
O  0.729  0.729  0.452
O  0.333  0.667  0.221
O  0.000  0.271  0.452
O  0.271  0.000  0.452
O  0.667  0.333  0.721
O  0.271  0.271  0.952
O  0.729  0.000  0.952
O  0.000  0.729  0.952
O  0.333  0.667  0.721
O  0.667  0.333  0.221
O  0.000  0.000  0.644
O  0.000  0.000  0.144
Na  0.000  0.615  0.124
Na  0.333  0.667  0.412
Na  0.615  0.000  0.124
Na  0.385  0.385  0.124
Na  0.667  0.333  0.412
Na  0.000  0.297  0.270
Na  0.333  0.667  0.912
Na  0.297  0.000  0.270
Na  0.385  0.000  0.624
Na  0.000  0.703  0.770
Na  0.703  0.000  0.770
Na  0.667  0.333  0.912
Na  0.615  0.615  0.624
Na  0.703  0.703  0.270
Na  0.297  0.297  0.770
Na  0.000  0.385  0.624
Co  0.000  0.000  0.497
Co  0.000  0.000  0.997

=====

Record 8
# NaCo2O3

A relaxed structure of NaCo2O3 (PBE+U, the Materials Project database).

Results
* energy above the lowest structure with this stoichiometry: 9.6 kJ per mole of atoms
* space-group type: Cmc2_1

Cell lengths 5.924, 5.924, 5.161 Å; angles 90.00, 90.00, 119.89 degrees
Fractional positions:
Co  0.671  0.006  0.008
Co  0.994  0.329  0.508
Co  0.329  0.994  0.508
Co  0.006  0.671  0.008
O  0.949  0.337  0.890
O  0.051  0.663  0.390
O  0.337  0.949  0.890
O  0.281  0.281  0.470
O  0.663  0.051  0.390
O  0.719  0.719  0.970
Na  0.327  0.327  0.995
Na  0.673  0.673  0.495

=====

Record 9
# Na2CoO3

A relaxed structure of Na2CoO3 (PBE+U, the Materials Project database).

Results
* energy above the lowest structure with this stoichiometry: 10.5 kJ per mole of atoms

Cell lengths 5.798, 8.597, 7.204 Å; angles 79.80, 81.94, 81.50 degrees
Fractional positions:
Na  0.890  0.461  0.813
Na  0.110  0.539  0.187
Na  0.610  0.039  0.687
Na  0.390  0.961  0.313
Na  0.750  0.250  0.250
Na  0.500  0.500  0.500
Na  0.250  0.750  0.750
Na  0.000  0.000  0.000
Co  0.375  0.288  0.951
Co  0.625  0.712  0.049
Co  0.125  0.212  0.549
Co  0.875  0.788  0.451
O  0.370  0.835  0.041
O  0.870  0.335  0.541
O  0.169  0.024  0.664
O  0.331  0.476  0.836
O  0.130  0.665  0.459
O  0.107  0.252  0.060
O  0.607  0.752  0.560
O  0.630  0.165  0.959
O  0.831  0.976  0.336
O  0.393  0.248  0.440
O  0.669  0.524  0.164
O  0.893  0.748  0.940

=====

Record 10
# Na4Co7O14

A relaxed structure of Na4Co7O14 (PBE+U, the Materials Project database).

Results
* space-group type: P6_3/m

Cell lengths 7.502, 7.502, 11.136 Å; angles 90.00, 90.00, 120.00 degrees
Fractional positions:
O  0.381  0.904  0.084
O  0.046  0.238  0.911
O  0.477  0.381  0.584
O  0.096  0.477  0.416
O  0.954  0.762  0.089
O  0.523  0.619  0.416
O  0.904  0.523  0.584
O  0.238  0.193  0.089
O  0.381  0.904  0.416
O  0.523  0.619  0.084
O  0.762  0.807  0.589
O  0.667  0.333  0.094
O  0.333  0.667  0.906
O  0.238  0.193  0.411
O  0.904  0.523  0.916
O  0.954  0.762  0.411
O  0.762  0.807  0.911
O  0.619  0.096  0.916
O  0.667  0.333  0.406
O  0.807  0.046  0.411
O  0.046  0.238  0.589
O  0.096  0.477  0.084
O  0.193  0.954  0.589
O  0.333  0.667  0.594
O  0.619  0.096  0.584
O  0.477  0.381  0.916
O  0.193  0.954  0.911
O  0.807  0.046  0.089
Co  0.572  0.857  0.502
Co  0.285  0.428  0.998
Co  0.572  0.857  0.998
Co  0.715  0.572  0.002
Co  0.285  0.428  0.502
Co  0.857  0.285  0.498
Co  0.857  0.285  0.002
Co  0.000  0.000  0.500
Co  0.143  0.715  0.502
Co  0.715  0.572  0.498
Co  0.143  0.715  0.998
Co  0.428  0.143  0.002
Co  0.428  0.143  0.498
Co  0.000  0.000  0.000
Na  0.410  0.958  0.750
Na  0.548  0.590  0.750
Na  0.042  0.452  0.750
Na  0.590  0.042  0.250
Na  0.452  0.410  0.250
Na  0.000  0.000  0.750
Na  0.000  0.000  0.250
Na  0.958  0.548  0.250

=====

Record 11
# Na2CoO3

A relaxed structure of Na2CoO3 (PBE+U, the Materials Project database).

Results
* energy above the lowest structure with this stoichiometry: 10.4 kJ per mole of atoms
* space-group type: P-1

Cell lengths 5.523, 5.925, 6.104 Å; angles 107.66, 102.02, 93.57 degrees
Fractional positions:
O  0.805  0.066  0.911
O  0.317  0.093  0.614
O  0.829  0.420  0.695
O  0.683  0.907  0.386
O  0.195  0.934  0.089
O  0.171  0.580  0.305
Na  0.200  0.284  0.962
Na  0.983  0.230  0.350
Na  0.017  0.770  0.650
Na  0.800  0.716  0.038
Co  0.663  0.151  0.674
Co  0.337  0.849  0.326

=====

Record 12
# NaCo2O3

A relaxed structure of NaCo2O3 (PBE+U, the Materials Project database).

Results
* energy above the lowest structure with this stoichiometry: 4.1 kJ per mole of atoms
* space-group type: P2_1

Cell lengths 5.997, 5.887, 5.176 Å; angles 90.00, 90.00, 119.69 degrees
Fractional positions:
Co  0.996  0.327  0.506
Co  0.004  0.673  0.006
Co  0.673  0.012  0.018
Co  0.327  0.988  0.518
O  0.043  0.657  0.380
O  0.723  0.708  0.963
O  0.277  0.292  0.463
O  0.957  0.343  0.880
O  0.671  0.063  0.400
O  0.329  0.937  0.900
Na  0.327  0.328  0.994
Na  0.673  0.672  0.494

=====

So what do the calculations give for ΔE_f? Going down the list: -1.52, -1.48, -1.41, -1.45, -1.52, -1.45, -1.51, -1.35, -1.42, -1.46, -1.42, -1.41 eV per atom.